Version P
Computed, not measured: a relaxed ZnGeAs2 crystal at the GGA-PBE level of DFT.

Cell: 6.994 6.994 6.994 Å, 131.38 131.38 71.21°
Positions (direct):
As1 0.125 0.125 0.500
As2 0.875 0.375 0.000
As3 0.375 0.875 0.000
As4 0.625 0.625 0.500
Zn1 0.750 0.250 0.500
Zn2 0.000 0.000 0.000
Ge1 0.250 0.750 0.500
Ge2 0.500 0.500 0.000

- Piezoelectric modulus e_max: 0.2 C/m2

Version Q
Computed, not measured: a relaxed ZnGeAs2 crystal at the GGA-PBE level of DFT.

Cell: 4.046 4.046 5.752 Å, 90.00 90.00 90.00°
Positions (direct):
Zn1 0.500 0.500 0.000
As1 0.000 0.500 0.243
As2 0.500 0.000 0.757
Ge1 0.000 0.000 0.500

- Total magnetic moment: 0.000 μB/cell

Stability verdict: version P, ahead by 0.025 eV/atom